Version i
Material: Li6V3P8O29
Method: DFT, PBE+U
State: optimized geometry

Results
* total magnetic moment: 3.00 μB per formula unit
* ρ: 2.58 g/cm3

a = 9.7724 Å, b = 9.7992 Å, c = 14.0085 Å
α = 89.91°, β = 89.89°, γ = 60.50°
Closest atoms and distances in Å follow each position.
Space group P1 (No. 1)
Asymmetric unit:
Li: 0.0000 0.0000 0.0000 x1  3 O 1.97-2.02
Li: 0.0010 0.1384 0.5015 x1  4 O 2.00-2.23
Li: 0.0048 0.5660 0.0524 x1  1 O 1.87
Li: 0.0964 0.2278 0.8800 x1  3 O 1.94-2.07
Li: 0.0957 0.8081 0.3839 x1  4 O 2.01-2.23
Li: 0.2374 0.2362 0.3792 x1  4 O 2.00-2.20
Li: 0.3296 0.9041 0.9404 x1  6 O 2.22-2.46
Li: 0.3866 0.8614 0.4344 x1  2 O 1.95-2.00
Li: 0.4303 0.5677 0.5053 x1  4 O 1.95-2.10
Li: 0.5653 0.5694 0.0023 x1  3 O 1.93-2.05
Li: 0.5689 0.0011 0.5016 x1  4 O 2.02-2.19
Li: 0.6535 0.8147 0.8813 x1  4 O 1.98-2.14
V: 0.3283 0.4700 0.6962 x1  6 O 1.89-2.02
V: 0.3352 0.3407 0.1866 x1  6 O 1.86-2.00
V: 0.7640 0.9063 0.6936 x1  6 O 1.90-2.00
V: 0.7668 0.4693 0.1985 x1  6 O 1.86-2.01
V: 0.8902 0.3453 0.6903 x1  6 O 1.90-2.05
V: 0.8913 0.9036 0.1923 x1  6 O 1.90-2.04
P: 0.0033 0.5680 0.3106 x1  4 O 1.49-1.59
P: 0.0172 0.1304 0.2851 x1  4 O 1.52-1.62
P: 0.0185 0.9939 0.7864 x1  4 O 1.50-1.63
P: 0.1043 0.8169 0.6031 x1  4 O 1.52-1.60
P: 0.1052 0.2209 0.1001 x1  4 O 1.51-1.62
P: 0.2419 0.6875 0.1013 x1  4 O 1.49-1.62
P: 0.2466 0.2165 0.5971 x1  4 O 1.52-1.60
P: 0.4132 0.1250 0.7832 x1  4 O 1.50-1.63
P: 0.4129 0.5947 0.2871 x1  4 O 1.52-1.61
P: 0.5516 0.9919 0.2834 x1  4 O 1.50-1.62
P: 0.5564 0.5920 0.7857 x1  4 O 1.51-1.60
P: 0.6358 0.6852 0.6021 x1  4 O 1.50-1.62
P: 0.6408 0.8122 0.0995 x1  4 O 1.50-1.61
P: 0.6629 0.2388 0.5734 x1  4 O 1.50-1.60
P: 0.6700 0.2371 0.0731 x1  4 O 1.48-1.59
P: 0.9933 0.5720 0.8121 x1  4 O 1.51-1.59
O: 0.0056 0.7173 0.2682 x1  1 P 1.59
O: 0.0078 0.5689 0.4166 x1  1 P 1.49
O: 0.0721 0.8267 0.0974 x1  1 P 1.55
O: 0.0777 0.2439 0.5978 x1  1 P 1.54
O: 0.1029 0.1319 0.0126 x1  1 P 1.51
O: 0.1026 0.9047 0.5135 x1  1 P 1.52
O: 0.1056 0.9182 0.8766 x1  1 P 1.50
O: 0.1071 0.1308 0.3730 x1  1 P 1.52
O: 0.1224 0.1136 0.1919 x1  2 P 1.62
O: 0.1273 0.9022 0.6944 x1  2 P 1.60-1.63
O: 0.1347 0.5785 0.7682 x1  1 P 1.54
O: 0.1462 0.4175 0.2674 x1  1 P 1.57
O: 0.2294 0.5348 0.1088 x1  1 P 1.56
O: 0.2468 0.2477 0.1004 x1  1 P 1.53
O: 0.2470 0.6495 0.6024 x1  1 P 1.54
O: 0.2482 0.3717 0.6143 x1  1 P 1.55
O: 0.3123 0.7092 0.2008 x1  2 P 1.61-1.62
O: 0.3224 0.1061 0.8636 x1  1 P 1.50
O: 0.3323 0.1341 0.5065 x1  1 P 1.52
O: 0.3320 0.6821 0.3782 x1  1 P 1.52
O: 0.3389 0.1024 0.6845 x1  2 P 1.60-1.63
O: 0.3417 0.6926 0.0219 x1  1 P 1.49
O: 0.4068 0.4419 0.2745 x1  1 P 1.54
O: 0.4121 0.1605 0.2777 x1  1 P 1.54
O: 0.4120 0.2812 0.7754 x1  1 P 1.53
O: 0.4168 0.5605 0.7768 x1  1 P 1.55
O: 0.5188 0.3926 0.6110 x1  1 P 1.56
O: 0.5214 0.2389 0.1168 x1  1 P 1.57
O: 0.5292 0.6975 0.5215 x1  1 P 1.50
O: 0.5347 0.9025 0.1912 x1  2 P 1.61-1.62
O: 0.5378 0.7085 0.7000 x1  2 P 1.60-1.62
O: 0.5396 0.9155 0.3738 x1  1 P 1.50
O: 0.5496 0.6779 0.8766 x1  1 P 1.51
O: 0.5600 0.8927 0.0091 x1  1 P 1.50
O: 0.5807 0.5651 0.2809 x1  1 P 1.52
O: 0.5854 0.9853 0.7824 x1  1 P 1.56
O: 0.6536 0.0940 0.6147 x1  1 P 1.57
O: 0.6633 0.6451 0.1037 x1  1 P 1.54
O: 0.6667 0.8258 0.6011 x1  1 P 1.55
O: 0.6707 0.3842 0.1168 x1  1 P 1.57
O: 0.6722 0.2321 0.4668 x1  1 P 1.50
O: 0.6777 0.2392 0.9673 x1  1 P 1.48
O: 0.7111 0.4371 0.7740 x1  1 P 1.53
O: 0.7109 0.9882 0.2734 x1  1 P 1.55
O: 0.7906 0.5291 0.6090 x1  1 P 1.54
O: 0.8068 0.7978 0.1132 x1  1 P 1.57
O: 0.8175 0.2323 0.6156 x1  1 P 1.60
O: 0.8177 0.0850 0.1146 x1  1 P 1.59
O: 0.8375 0.7169 0.7768 x1  1 P 1.56
O: 0.8534 0.5713 0.2661 x1  1 P 1.58
O: 0.8592 0.2821 0.2748 x1  1 P 1.53
O: 0.8633 0.9918 0.7729 x1  1 P 1.54
O: 0.9479 0.8150 0.6165 x1  1 P 1.55
O: 0.9542 0.3826 0.1110 x1  1 P 1.55
O: 0.9925 0.1621 0.7794 x1  1 P 1.54
O: 0.9926 0.5611 0.9193 x1  1 P 1.51
O: 0.9963 0.9845 0.2844 x1  1 P 1.54
O: 0.9983 0.4193 0.7690 x1  1 P 1.59



Version ii
Material: Li6V3P8O29
Method: DFT, PBE+U
State: optimized geometry

Results
* total magnetic moment: 3.00 μB per formula unit
* ρ: 2.59 g/cm3

a = 9.8329 Å, b = 9.8360 Å, c = 13.8638 Å
α = 89.99°, β = 89.88°, γ = 60.02°
Closest atoms and distances in Å follow each position.
Space group P1 (No. 1)
Asymmetric unit:
Li: 0.0000 0.0000 0.0000 x1  3 O 1.87-2.03
Li: 0.0000 0.1329 0.4999 x1  3 O 1.87-2.04
Li: 0.3455 0.8941 0.3218 x1  1 O 1.88
Li: 0.3462 0.8926 0.8218 x1  1 O 1.88
Li: 0.3620 0.3182 0.3795 x1  4 O 1.97-2.20
Li: 0.3622 0.4526 0.8797 x1  3 O 1.97-2.04
Li: 0.4560 0.1339 0.0016 x1  3 O 1.95-2.01
Li: 0.4560 0.5430 0.5016 x1  3 O 1.95-2.01
Li: 0.5976 0.5368 0.9998 x1  3 O 1.89-2.01
Li: 0.5977 0.9983 0.4999 x1  3 O 1.89-2.01
Li: 0.7807 0.4506 0.3795 x1  3 O 1.93-2.05
Li: 0.7807 0.9014 0.8794 x1  3 O 1.94-2.05
V: 0.1107 0.2308 0.6940 x1  6 O 1.85-2.03
V: 0.1109 0.7907 0.1943 x1  6 O 1.84-2.03
V: 0.2473 0.6579 0.6882 x1  6 O 1.86-2.00
V: 0.2477 0.2273 0.1882 x1  6 O 1.86-2.00
V: 0.6855 0.6562 0.1872 x1  6 O 1.85-2.00
V: 0.6854 0.7910 0.6877 x1  6 O 1.86-2.00
P: 0.0012 0.1364 0.2830 x1  4 O 1.50-1.61
P: 0.0014 0.9952 0.7828 x1  4 O 1.50-1.60
P: 0.0173 0.5552 0.3145 x1  4 O 1.48-1.60
P: 0.0172 0.5600 0.8143 x1  4 O 1.49-1.59
P: 0.3484 0.8907 0.0659 x1  4 O 1.51-1.58
P: 0.3483 0.8936 0.5659 x1  4 O 1.51-1.58
P: 0.3627 0.3112 0.5965 x1  4 O 1.50-1.63
P: 0.3626 0.4590 0.0964 x1  4 O 1.50-1.63
P: 0.4530 0.1349 0.7812 x1  4 O 1.50-1.60
P: 0.4529 0.5451 0.2812 x1  4 O 1.50-1.60
P: 0.5924 0.9946 0.2836 x1  4 O 1.48-1.62
P: 0.5926 0.5455 0.7836 x1  4 O 1.48-1.62
P: 0.7694 0.4560 0.5982 x1  4 O 1.50-1.61
P: 0.7692 0.9082 0.0981 x1  4 O 1.50-1.61
P: 0.9144 0.3093 0.0968 x1  4 O 1.48-1.62
P: 0.9142 0.9093 0.5965 x1  4 O 1.48-1.63
O: 0.0174 0.4118 0.7682 x1  1 P 1.59
O: 0.0184 0.7033 0.2679 x1  1 P 1.60
O: 0.0210 0.1399 0.7798 x1  1 P 1.53
O: 0.0206 0.5544 0.4216 x1  1 P 1.48
O: 0.0207 0.5584 0.9215 x1  1 P 1.49
O: 0.0206 0.9724 0.2802 x1  1 P 1.53
O: 0.0655 0.7488 0.6139 x1  1 P 1.55
O: 0.0657 0.3184 0.1140 x1  1 P 1.55
O: 0.1678 0.1152 0.2648 x1  1 P 1.56
O: 0.1677 0.8499 0.7649 x1  1 P 1.56
O: 0.1704 0.5542 0.7725 x1  1 P 1.59
O: 0.1709 0.4082 0.2728 x1  1 P 1.59
O: 0.1973 0.0412 0.6059 x1  1 P 1.57
O: 0.1975 0.8938 0.1062 x1  1 P 1.57
O: 0.2053 0.3194 0.6140 x1  1 P 1.53
O: 0.2049 0.6075 0.1135 x1  1 P 1.53
O: 0.3092 0.1119 0.7659 x1  1 P 1.55
O: 0.3093 0.7118 0.2664 x1  1 P 1.55
O: 0.3491 0.4745 0.5979 x1  1 P 1.54
O: 0.3498 0.3087 0.0980 x1  1 P 1.54
O: 0.3504 0.8915 0.4572 x1  1 P 1.51
O: 0.3500 0.8907 0.9572 x1  1 P 1.51
O: 0.3543 0.0388 0.1041 x1  1 P 1.58
O: 0.3542 0.7397 0.6044 x1  1 P 1.58
O: 0.4261 0.1440 0.2795 x1  1 P 1.56
O: 0.4262 0.5627 0.7797 x1  1 P 1.56
O: 0.4397 0.2255 0.8714 x1  1 P 1.50
O: 0.4400 0.4676 0.3714 x1  1 P 1.50
O: 0.4429 0.2221 0.5064 x1  1 P 1.50
O: 0.4431 0.4678 0.0065 x1  1 P 1.50
O: 0.4732 0.2226 0.6894 x1  2 P 1.60-1.63
O: 0.4732 0.4373 0.1894 x1  2 P 1.60-1.63
O: 0.4973 0.7374 0.1043 x1  1 P 1.58
O: 0.4976 0.8977 0.6045 x1  1 P 1.58
O: 0.5711 0.7113 0.7643 x1  1 P 1.56
O: 0.5710 0.8504 0.2643 x1  1 P 1.56
O: 0.6025 0.9700 0.7814 x1  1 P 1.55
O: 0.6026 0.5609 0.2811 x1  1 P 1.56
O: 0.6764 0.9859 0.3739 x1  1 P 1.48
O: 0.6769 0.4706 0.8740 x1  1 P 1.48
O: 0.6799 0.4709 0.5072 x1  1 P 1.50
O: 0.6797 0.9821 0.0071 x1  1 P 1.50
O: 0.6806 0.0152 0.1903 x1  2 P 1.61-1.62
O: 0.6807 0.4370 0.6904 x1  2 P 1.61-1.62
O: 0.7685 0.4765 0.0980 x1  1 P 1.55
O: 0.7682 0.8885 0.5981 x1  1 P 1.55
O: 0.7792 0.6064 0.6162 x1  1 P 1.55
O: 0.7785 0.7478 0.1165 x1  1 P 1.55
O: 0.8693 0.7108 0.7731 x1  1 P 1.58
O: 0.8701 0.5526 0.2732 x1  1 P 1.57
O: 0.8900 0.0111 0.6940 x1  2 P 1.60-1.63
O: 0.8898 0.2320 0.1941 x1  2 P 1.61-1.62
O: 0.9224 0.9950 0.5109 x1  1 P 1.48
O: 0.9226 0.2155 0.0110 x1  1 P 1.48
O: 0.9275 0.2274 0.3735 x1  1 P 1.50
O: 0.9275 0.9784 0.8735 x1  1 P 1.50
O: 0.9333 0.3093 0.5980 x1  1 P 1.53
O: 0.9332 0.8904 0.0976 x1  1 P 1.53



Relative to the most stable structure, the computed energies are version i 0.000; version ii 0.011, all in eV/atom.